Entry 1:
{"formula": "ScPH4O6", "functional": "PBE-GGA", "state": "optimized geometry", "e_tot_ev_per_atom": -6.56, "spacegroup": "No. 14", "delta_e_f_ev_per_atom": -2.318, "lattice": [[10.338, 0.000, 0.000], [0.000, 5.478, 0.000], [0.000, 5.222, 9.004]], "species": ["O", "H", "P", "O", "H", "H", "O", "O", "O", "Sc", "H", "H", "O", "Sc", "O", "P", "O", "H", "H", "Sc", "Sc", "O", "H", "O", "H", "O", "P", "O", "H", "P", "O", "O", "H", "O", "H", "O", "O", "O", "O", "H", "O", "O", "H", "H", "H", "O", "O", "O"], "fractional_positions": [[0.208, 0.427, 0.284], [0.962, 0.375, 0.197], [0.650, 0.275, 0.318], [0.354, 0.386, 0.060], [0.663, 0.658, 0.019], [0.462, 0.625, 0.303], [0.790, 0.149, 0.975], [0.854, 0.614, 0.440], [0.146, 0.386, 0.560], [0.831, 0.889, 0.200], [0.337, 0.342, 0.981], [0.682, 0.423, 0.976], [0.646, 0.614, 0.940], [0.669, 0.889, 0.700], [0.210, 0.851, 0.025], [0.350, 0.725, 0.682], [0.000, 0.703, 0.175], [0.051, 0.106, 0.231], [0.949, 0.894, 0.769], [0.331, 0.111, 0.300], [0.169, 0.111, 0.800], [0.182, 0.915, 0.249], [0.038, 0.625, 0.803], [0.000, 0.297, 0.825], [0.538, 0.375, 0.697], [0.290, 0.851, 0.525], [0.150, 0.725, 0.182], [0.818, 0.085, 0.751], [0.182, 0.577, 0.524], [0.850, 0.275, 0.818], [0.708, 0.573, 0.216], [0.318, 0.915, 0.749], [0.318, 0.577, 0.024], [0.460, 0.821, 0.286], [0.818, 0.423, 0.476], [0.792, 0.573, 0.716], [0.710, 0.149, 0.475], [0.540, 0.179, 0.714], [0.500, 0.703, 0.675], [0.837, 0.658, 0.519], [0.040, 0.821, 0.786], [0.682, 0.085, 0.251], [0.449, 0.106, 0.731], [0.551, 0.894, 0.269], [0.163, 0.342, 0.481], [0.500, 0.297, 0.325], [0.960, 0.179, 0.214], [0.292, 0.427, 0.784]]}


Entry 2:
{"formula": "SmP2H9O11", "functional": "PBE-GGA", "state": "optimized geometry", "e_tot_ev_per_atom": -6.08, "spacegroup": "No. 14", "delta_e_f_ev_per_atom": -2.038, "lattice": [[-5.707, -8.577, -5.414], [4.993, -4.237, 1.450], [-0.639, -6.890, 11.589]], "species": ["O", "P", "O", "H", "H", "O", "P", "P", "H", "O", "H", "O", "H", "H", "O", "H", "O", "H", "O", "Sm", "O", "O", "P", "O", "O", "O", "Sm", "H", "H", "O", "H", "O", "O", "O", "P", "O", "H", "O", "H", "O", "O", "O", "O", "O", "H", "H", "O", "Sm", "H", "O", "H", "O", "O", "H", "P", "H", "H", "H", "O", "O", "O", "H", "O", "O", "O", "H", "H", "H", "O", "H", "H", "H", "H", "H", "H", "H", "O", "O", "O", "O", "O", "O", "Sm", "H", "H", "H", "O", "P", "P", "O", "H", "O"], "fractional_positions": [[0.421, 0.780, 0.565], [0.366, 0.818, 0.662], [0.625, 0.162, 0.067], [0.992, 0.742, 0.074], [0.884, 0.175, 0.084], [0.617, 0.755, 0.036], [0.634, 0.182, 0.338], [0.049, 0.397, 0.357], [0.639, 0.044, 0.044], [0.960, 0.543, 0.376], [0.384, 0.825, 0.416], [0.132, 0.330, 0.894], [0.299, 0.279, 0.441], [0.201, 0.279, 0.941], [0.854, 0.433, 0.730], [0.741, 0.171, 0.626], [0.375, 0.838, 0.933], [0.117, 0.692, 0.504], [0.841, 0.169, 0.148], [0.919, 0.920, 0.335], [0.257, 0.274, 0.671], [0.354, 0.567, 0.770], [0.549, 0.603, 0.143], [0.146, 0.567, 0.270], [0.000, 0.736, 0.699], [0.646, 0.433, 0.230], [0.581, 0.920, 0.835], [0.259, 0.829, 0.374], [0.883, 0.308, 0.496], [0.079, 0.780, 0.065], [0.258, 0.383, 0.700], [0.125, 0.838, 0.433], [0.059, 0.963, 0.194], [0.883, 0.755, 0.536], [0.866, 0.182, 0.838], [0.757, 0.726, 0.829], [0.616, 0.175, 0.584], [0.256, 0.898, 0.130], [0.137, 0.495, 0.852], [0.040, 0.457, 0.624], [0.500, 0.264, 0.801], [0.659, 0.169, 0.648], [0.540, 0.543, 0.876], [0.441, 0.963, 0.694], [0.759, 0.171, 0.126], [0.701, 0.721, 0.559], [0.243, 0.274, 0.171], [0.419, 0.080, 0.165], [0.241, 0.829, 0.874], [0.559, 0.037, 0.306], [0.383, 0.692, 0.004], [0.460, 0.457, 0.124], [0.383, 0.245, 0.964], [0.617, 0.308, 0.996], [0.951, 0.603, 0.643], [0.139, 0.956, 0.456], [0.361, 0.956, 0.956], [0.166, 0.205, 0.184], [0.159, 0.831, 0.852], [0.941, 0.037, 0.806], [0.632, 0.670, 0.606], [0.758, 0.617, 0.800], [0.744, 0.102, 0.870], [0.500, 0.736, 0.199], [0.868, 0.670, 0.106], [0.492, 0.258, 0.426], [0.834, 0.795, 0.816], [0.863, 0.505, 0.148], [0.244, 0.898, 0.630], [0.637, 0.505, 0.648], [0.116, 0.825, 0.916], [0.008, 0.258, 0.926], [0.799, 0.721, 0.059], [0.666, 0.795, 0.316], [0.363, 0.495, 0.352], [0.861, 0.044, 0.544], [0.921, 0.220, 0.935], [0.117, 0.245, 0.464], [0.368, 0.330, 0.394], [0.875, 0.162, 0.567], [0.756, 0.102, 0.370], [0.000, 0.264, 0.301], [0.081, 0.080, 0.665], [0.742, 0.617, 0.300], [0.508, 0.742, 0.574], [0.242, 0.383, 0.200], [0.341, 0.831, 0.352], [0.134, 0.818, 0.162], [0.451, 0.397, 0.857], [0.743, 0.726, 0.329], [0.334, 0.205, 0.684], [0.579, 0.220, 0.435]]}


Entry 3:
{"formula": "SnPHO5", "functional": "PBE-GGA", "state": "optimized geometry", "e_tot_ev_per_atom": -6.50, "spacegroup": "No. 2", "delta_e_f_ev_per_atom": -2.231, "lattice": [[-1.434, 5.141, 0.461], [-5.997, -4.150, 2.225], [3.712, -0.153, 3.862]], "species": ["Sn", "O", "O", "O", "O", "O", "P", "O", "O", "H", "P", "O", "O", "H", "O", "Sn"], "fractional_positions": [[0.000, 0.500, 0.000], [0.379, 0.612, 0.264], [0.078, 0.735, 0.867], [0.260, 0.083, 0.376], [0.621, 0.388, 0.736], [0.922, 0.265, 0.133], [0.667, 0.762, 0.332], [0.125, 0.349, 0.674], [0.875, 0.651, 0.326], [0.969, 0.314, 0.336], [0.333, 0.238, 0.668], [0.682, 0.861, 0.123], [0.318, 0.139, 0.877], [0.031, 0.686, 0.664], [0.740, 0.917, 0.624], [0.000, 0.000, 0.000]]}